Below is crystalline BaMg14Mo at its relaxed geometry, with properties calculated at the PBE level.

The structure belongs to space group Amm2 (No. 38); the cell edges are 10.469, 6.434 and 11.372 Å and the angles 90.00°, 90.00° and 90.00°. Symmetry generates all atoms from Ba at (0.000, 0.000, 0.000), Mg at (0.000, 0.246, 0.248), Mg at (0.233, 0.000, 0.647), Mg at (0.256, 0.237, 0.404), Mg at (0.271, 0.000, 0.160), Mg at (0.500, 0.000, 0.490), Mg at (0.500, 0.000, 0.987), Mg at (0.500, 0.244, 0.740) and Mo at (0.000, 0.000, 0.473).

The energy relative to the elements comes out at 0.193 eV per atom. As for the calculated density: 2.5 Mg/m³. The calculation puts the final energy at -64.1 eV/cell. For the energy above the most stable polymorph in this dataset, the calculation gives 0 meV/atom.